(1)
# La4Co3O10 | Materials Project | GGA+U | relaxed
# E_tot ... -250.44 eV/cell
# Crystal system ... tetragonal
# Calculated volume ... 12.51 Å³ per atom
# Calculated formation energy ... -2.733 eV per atom
# ΔE to the lowest computed polymorph ... 1.10 eV per formula unit
data_La4Co3O10
_cell_length_a 3.877
_cell_length_b 3.877
_cell_length_c 28.291
_cell_angle_alpha 90.00
_cell_angle_beta 90.00
_cell_angle_gamma 90.00
_symmetry_space_group_name_H-M 'I 4/m m m'
_symmetry_Int_Tables_number 139
_symmetry_space_group_name_Hall '-I 4 2'
loop_
_atom_site_label
_atom_site_fract_x
_atom_site_fract_y
_atom_site_fract_z
La1 0.000 0.000 0.067
La2 0.000 0.000 0.199
Co1 0.000 0.000 0.360
Co2 0.000 0.000 0.500
O1 0.000 0.000 0.281
O2 0.000 0.000 0.432
O3 0.000 0.500 0.000
O4 0.000 0.500 0.140

(2)
# NiSeO4 | Materials Project | GGA+U | relaxed
# E_tot ... -123.65 eV/cell
# Crystal system ... orthorhombic
# Calculated volume ... 12.04 Å³ per atom
# Calculated formation energy ... -1.189 eV per atom
data_NiSeO4
_cell_length_a 5.476
_cell_length_b 8.274
_cell_length_c 6.378
_cell_angle_alpha 90.00
_cell_angle_beta 90.00
_cell_angle_gamma 90.00
_symmetry_space_group_name_H-M 'C m c m'
_symmetry_Int_Tables_number 63
_symmetry_space_group_name_Hall '-C 2c 2'
loop_
_atom_site_label
_atom_site_fract_x
_atom_site_fract_y
_atom_site_fract_z
Ni1 0.000 0.000 0.000
Se1 0.000 0.348 0.250
O1 0.000 0.242 0.029
O2 0.250 0.024 0.750

(3)
# Ba4Sr4Co3Cu5O24 | Materials Project | GGA+U | relaxed
# E_tot ... -224.77 eV/cell
# Crystal system ... triclinic
# Calculated volume ... 12.41 Å³ per atom
# Calculated formation energy ... -1.779 eV per atom
data_Ba4Sr4Co3Cu5O24
_cell_length_a 7.904
_cell_length_b 7.923
_cell_length_c 7.925
_cell_angle_alpha 90.11
_cell_angle_beta 90.01
_cell_angle_gamma 90.04
_symmetry_space_group_name_H-M 'P 1'
_symmetry_Int_Tables_number 1
_symmetry_space_group_name_Hall 'P 1'
loop_
_atom_site_label
_atom_site_fract_x
_atom_site_fract_y
_atom_site_fract_z
Ba1 0.000 0.000 0.000
Ba2 0.001 0.000 0.498
Ba3 0.496 0.503 0.000
Ba4 0.497 0.000 0.498
Sr1 0.002 0.503 0.001
Sr2 0.002 0.503 0.497
Sr3 0.494 0.503 0.497
Sr4 0.494 0.999 0.001
Co1 0.748 0.254 0.249
Co2 0.748 0.254 0.749
Co3 0.748 0.749 0.749
Cu1 0.248 0.252 0.249
Cu2 0.248 0.750 0.749
Cu3 0.248 0.751 0.249
Cu4 0.249 0.252 0.749
Cu5 0.748 0.751 0.249
O1 0.243 0.500 0.744
O2 0.243 0.501 0.254
O3 0.248 0.254 0.998
O4 0.248 0.264 0.500
O5 0.248 0.739 0.500
O6 0.248 0.749 0.998
O7 0.254 0.002 0.244
O8 0.254 0.002 0.755
O9 0.500 0.750 0.249
O10 0.504 0.253 0.249
O11 0.504 0.750 0.749
O12 0.517 0.252 0.749
O13 0.745 0.005 0.245
O14 0.746 0.991 0.752
O15 0.748 0.259 0.490
O16 0.748 0.743 0.501
O17 0.748 0.750 0.997
O18 0.749 0.253 0.009
O19 0.750 0.510 0.747
O20 0.751 0.500 0.252
O21 0.980 0.259 0.749
O22 0.992 0.260 0.249
O23 0.992 0.743 0.749
O24 0.997 0.740 0.249

(4)
# Mn2CuO4 | Materials Project | GGA+U | relaxed
# E_tot ... -1142.90 eV/cell
# Crystal system ... monoclinic
# Calculated volume ... 11.22 Å³ per atom
# Calculated formation energy ... -1.641 eV per atom
# ΔE to the lowest computed polymorph ... 0.26 eV per formula unit
data_Mn2CuO4
_cell_length_a 10.719
_cell_length_b 5.967
_cell_length_c 29.520
_cell_angle_alpha 90.00
_cell_angle_beta 92.93
_cell_angle_gamma 90.00
_symmetry_space_group_name_H-M 'C 1 m 1'
_symmetry_Int_Tables_number 8
_symmetry_space_group_name_Hall 'C -2y'
loop_
_atom_site_label
_atom_site_fract_x
_atom_site_fract_y
_atom_site_fract_z
Mn1 0.000 0.000 0.000
Mn2 0.001 0.000 0.499
Mn3 0.011 0.000 0.308
Mn4 0.020 0.000 0.619
Mn5 0.093 0.249 0.226
Mn6 0.094 0.250 0.726
Mn7 0.168 0.500 0.833
Mn8 0.173 0.500 0.331
Mn9 0.176 0.500 0.142
Mn10 0.187 0.500 0.952
Mn11 0.189 0.500 0.453
Mn12 0.259 0.250 0.060
Mn13 0.261 0.250 0.559
Mn14 0.334 0.000 0.666
Mn15 0.338 0.000 0.165
Mn16 0.353 0.000 0.785
Mn17 0.427 0.250 0.893
Mn18 0.429 0.248 0.392
Cu1 0.010 0.000 0.809
Cu2 0.010 0.500 0.059
Cu3 0.010 0.500 0.559
Cu4 0.014 0.000 0.121
Cu5 0.177 0.000 0.893
Cu6 0.177 0.500 0.643
Cu7 0.178 0.000 0.393
Cu8 0.343 0.000 0.976
Cu9 0.343 0.500 0.226
Cu10 0.344 0.000 0.476
Cu11 0.344 0.500 0.726
Cu12 0.348 0.000 0.288
O1 0.007 0.500 0.928
O2 0.012 0.500 0.428
O3 0.015 0.500 0.690
O4 0.021 0.000 0.189
O5 0.021 0.500 0.186
O6 0.027 0.000 0.687
O7 0.076 0.226 0.855
O8 0.078 0.226 0.353
O9 0.110 0.272 0.098
O10 0.111 0.274 0.596
O11 0.161 0.500 0.764
O12 0.166 0.500 0.262
O13 0.168 0.000 0.266
O14 0.173 0.000 0.762
O15 0.178 0.000 0.024
O16 0.181 0.000 0.524
O17 0.191 0.500 0.021
O18 0.192 0.500 0.521
O19 0.242 0.272 0.186
O20 0.243 0.274 0.689
O21 0.278 0.226 0.930
O22 0.279 0.230 0.429
O23 0.329 0.000 0.096
O24 0.329 0.000 0.598
O25 0.333 0.500 0.099
O26 0.340 0.500 0.595
O27 0.348 0.500 0.857
O28 0.358 0.000 0.355
O29 0.358 0.500 0.352
O30 0.360 0.000 0.854
O31 0.408 0.229 0.023
O32 0.409 0.226 0.522
O33 0.445 0.270 0.265
O34 0.445 0.274 0.763
O35 0.495 0.500 0.931
O36 0.498 0.500 0.430

(5)
# Nb3FeBi6O18 | Materials Project | GGA+U | relaxed
# E_tot ... -198.51 eV/cell
# Crystal system ... triclinic
# Calculated volume ... 14.12 Å³ per atom
# Calculated formation energy ... -2.213 eV per atom
data_Nb3FeBi6O18
_cell_length_a 5.493
_cell_length_b 5.550
_cell_length_c 13.239
_cell_angle_alpha 90.40
_cell_angle_beta 101.63
_cell_angle_gamma 90.12
_symmetry_space_group_name_H-M 'P 1'
_symmetry_Int_Tables_number 1
_symmetry_space_group_name_Hall 'P 1'
loop_
_atom_site_label
_atom_site_fract_x
_atom_site_fract_y
_atom_site_fract_z
Nb1 0.000 0.000 0.000
Nb2 0.178 0.011 0.352
Nb3 0.503 0.499 0.000
Fe1 0.669 0.507 0.351
Bi1 0.083 0.452 0.189
Bi2 0.331 0.453 0.571
Bi3 0.360 0.963 0.769
Bi4 0.603 0.948 0.188
Bi5 0.769 0.931 0.571
Bi6 0.913 0.450 0.769
O1 0.005 0.047 0.172
O2 0.080 0.723 0.671
O3 0.097 0.219 0.672
O4 0.234 0.740 0.042
O5 0.308 0.012 0.494
O6 0.310 0.238 0.041
O7 0.363 0.741 0.304
O8 0.365 0.515 0.859
O9 0.434 0.233 0.304
O10 0.580 0.722 0.676
O11 0.596 0.219 0.675
O12 0.668 0.548 0.172
O13 0.673 0.534 0.495
O14 0.696 0.825 0.999
O15 0.805 0.325 0.999
O16 0.866 0.830 0.342
O17 0.983 0.328 0.343
O18 0.994 0.018 0.858

(6)
# Li9Co7O16 | Materials Project | GGA+U | relaxed
# E_tot ... -356.73 eV/cell
# Crystal system ... monoclinic
# Calculated volume ... 8.73 Å³ per atom
# Calculated formation energy ... -1.710 eV per atom
# ΔE to the lowest computed polymorph ... 1.45 eV per formula unit
data_Li9Co7O16
_cell_length_a 10.306
_cell_length_b 11.391
_cell_length_c 5.100
_cell_angle_alpha 90.00
_cell_angle_beta 111.11
_cell_angle_gamma 90.00
_symmetry_space_group_name_H-M 'C 1 2/m 1'
_symmetry_Int_Tables_number 12
_symmetry_space_group_name_Hall '-C 2y'
loop_
_atom_site_label
_atom_site_fract_x
_atom_site_fract_y
_atom_site_fract_z
Li1 0.000 0.000 0.000
Li2 0.244 0.000 0.489
Li3 0.244 0.123 0.998
Li4 0.250 0.250 0.500
Co1 0.000 0.123 0.500
Co2 0.000 0.245 0.000
Co3 0.000 0.375 0.500
Co4 0.000 0.500 0.000
O1 0.108 0.246 0.754
O2 0.109 0.374 0.228
O3 0.113 0.000 0.714
O4 0.115 0.139 0.236
O5 0.123 0.500 0.736

(7)
# Ti7W6O30 | Materials Project | GGA+U | relaxed
# E_tot ... -351.96 eV/cell
# Crystal system ... trigonal
# Calculated volume ... 12.95 Å³ per atom
# Calculated formation energy ... -2.738 eV per atom
data_Ti7W6O30
_cell_length_a 5.2360
_cell_length_b 5.2360
_cell_length_c 23.4627
_cell_angle_alpha 90.00
_cell_angle_beta 90.00
_cell_angle_gamma 120.00
_symmetry_space_group_name_H-M 'P 3'
_symmetry_Int_Tables_number 143
_symmetry_space_group_name_Hall 'P 3'
loop_
_atom_site_label
_atom_site_fract_x
_atom_site_fract_y
_atom_site_fract_z
Ti1 0.0000 0.0000 0.0000
Ti2 0.0000 0.0000 0.1217
Ti3 0.0000 0.0000 0.3915
Ti4 0.0000 0.0000 0.8016
Ti5 0.6667 0.3333 0.0911
Ti6 0.6667 0.3333 0.4171
Ti7 0.6667 0.3333 0.8281
W1 0.0000 0.0000 0.5160
W2 0.3333 0.6667 0.3118
W3 0.3333 0.6667 0.6091
W4 0.3333 0.6667 0.9128
W5 0.6667 0.3333 0.2194
W6 0.6667 0.3333 0.7026
O1 0.9996 0.4223 0.6591
O2 0.0023 0.3941 0.2590
O3 0.0081 0.6714 0.3623
O4 0.0130 0.3547 0.8566
O5 0.0672 0.7306 0.9535
O6 0.0909 0.7560 0.5595
O7 0.3113 0.0735 0.0566
O8 0.3199 0.0831 0.4566
O9 0.3480 0.2494 0.7625
O10 0.3543 0.2605 0.1574

(8)
# Na7Mn10O24 | Materials Project | GGA+U | relaxed
# E_tot ... -523.32 eV/cell
# Crystal system ... monoclinic
# Calculated volume ... 11.92 Å³ per atom
# Calculated formation energy ... -1.834 eV per atom
data_Na7Mn10O24
_cell_length_a 10.665
_cell_length_b 5.974
_cell_length_c 15.360
_cell_angle_alpha 90.00
_cell_angle_beta 92.43
_cell_angle_gamma 90.00
_symmetry_space_group_name_H-M 'C 1 m 1'
_symmetry_Int_Tables_number 8
_symmetry_space_group_name_Hall 'C -2y'
loop_
_atom_site_label
_atom_site_fract_x
_atom_site_fract_y
_atom_site_fract_z
Na1 0.000 0.000 0.000
Na2 0.002 0.000 0.376
Na3 0.158 0.500 0.701
Na4 0.174 0.500 0.960
Na5 0.327 0.000 0.045
Na6 0.496 0.500 0.618
Na7 0.498 0.000 0.493
Mn1 0.085 0.247 0.176
Mn2 0.164 0.000 0.824
Mn3 0.180 0.500 0.333
Mn4 0.248 0.253 0.499
Mn5 0.323 0.000 0.661
Mn6 0.338 0.500 0.175
Mn7 0.416 0.253 0.823
O1 0.005 0.000 0.238
O2 0.036 0.500 0.252
O3 0.076 0.229 0.885
O4 0.121 0.278 0.411
O5 0.148 0.000 0.112
O6 0.165 0.500 0.110
O7 0.183 0.000 0.572
O8 0.184 0.500 0.561
O9 0.245 0.288 0.249
O10 0.258 0.210 0.751
O11 0.307 0.000 0.436
O12 0.319 0.500 0.432
O13 0.336 0.000 0.889
O14 0.352 0.500 0.885
O15 0.381 0.219 0.587
O16 0.426 0.274 0.113
O17 0.465 0.000 0.747
O18 0.497 0.500 0.760

(9)
# MgV4O7F5 | Materials Project | GGA+U | relaxed
# E_tot ... -113.75 eV/cell
# Crystal system ... triclinic
# Calculated volume ... 12.35 Å³ per atom
# Calculated formation energy ... -2.678 eV per atom
# ΔE to the lowest computed polymorph ... 0.77 eV per formula unit
data_MgV4O7F5
_cell_length_a 5.233
_cell_length_b 5.450
_cell_length_c 7.374
_cell_angle_alpha 87.06
_cell_angle_beta 89.96
_cell_angle_gamma 88.38
_symmetry_space_group_name_H-M 'P 1'
_symmetry_Int_Tables_number 1
_symmetry_space_group_name_Hall 'P 1'
loop_
_atom_site_label
_atom_site_fract_x
_atom_site_fract_y
_atom_site_fract_z
Mg1 0.000 0.000 0.000
V1 0.003 0.579 0.794
V2 0.060 0.593 0.297
V3 0.477 0.108 0.274
V4 0.513 0.085 0.763
O1 0.082 0.619 0.058
O2 0.192 0.307 0.345
O3 0.258 0.377 0.760
O4 0.287 0.797 0.349
O5 0.371 0.083 0.050
O6 0.580 0.105 0.540
O7 0.740 0.820 0.841
F1 0.205 0.889 0.751
F2 0.690 0.391 0.243
F3 0.791 0.285 0.871
F4 0.807 0.925 0.231
F5 0.881 0.600 0.534

(10)
# Li7Mn5O12 | Materials Project | GGA+U | relaxed
# E_tot ... -611.72 eV/cell
# Crystal system ... monoclinic
# Calculated volume ... 9.21 Å³ per atom
# Calculated formation energy ... -2.124 eV per atom
# ΔE to the lowest computed polymorph ... 0.80 eV per formula unit
data_Li7Mn5O12
_cell_length_a 29.347
_cell_length_b 5.759
_cell_length_c 5.239
_cell_angle_alpha 90.00
_cell_angle_beta 93.07
_cell_angle_gamma 90.00
_symmetry_space_group_name_H-M 'C 1 2/m 1'
_symmetry_Int_Tables_number 12
_symmetry_space_group_name_Hall '-C 2y'
loop_
_atom_site_label
_atom_site_fract_x
_atom_site_fract_y
_atom_site_fract_z
Li1 0.000 0.250 0.000
Li2 0.084 0.000 0.822
Li3 0.084 0.500 0.823
Li4 0.171 0.250 0.663
Li5 0.250 0.000 0.500
Li6 0.250 0.250 0.000
Mn1 0.000 0.000 0.500
Mn2 0.000 0.500 0.500
Mn3 0.085 0.250 0.312
Mn4 0.171 0.000 0.136
Mn5 0.171 0.500 0.136
O1 0.038 0.250 0.651
O2 0.046 0.000 0.166
O3 0.047 0.500 0.165
O4 0.125 0.000 0.447
O5 0.125 0.500 0.447
O6 0.131 0.250 0.993
O7 0.204 0.250 0.311
O8 0.205 0.000 0.857
O9 0.205 0.500 0.858